1.
Material: Cu2ClO3
Method: DFT, PBE
State: optimized geometry

CIF file:
```
data_Cu2ClO3
_chemical_formula_sum 'Cu4 Cl2 O6'
_cell_length_a 5.3275
_cell_length_b 5.9306
_cell_length_c 5.3579
_cell_angle_alpha 90.00
_cell_angle_beta 90.69
_cell_angle_gamma 90.00
_symmetry_space_group_name_H-M 'P 1 21/m 1'
_symmetry_Int_Tables_number 11
loop_
_symmetry_equiv_pos_as_xyz
'x,y,z'
'-x,-y,-z'
'-x,y+1/2,-z'
'x,-y+1/2,z'
loop_
_atom_site_label
_atom_site_type_symbol
_atom_site_fract_x
_atom_site_fract_y
_atom_site_fract_z
Cu1 Cu 0.0000 0.0000 0.0000
Cu2 Cu 0.4982 0.2500 0.0119
Cl1 Cl 0.2133 0.7500 0.6287
O1 O 0.1137 0.2500 0.8337
O2 O 0.3238 0.5101 0.1421
```

Computed properties:
Formation energy from the elements   -0.577 eV per atom
Energy relative to the lowest polymorph listed for this composition   0.0 meV per atom

2.
Material: Cu2ClO3
Method: DFT, PBE
State: optimized geometry

CIF file:
```
data_Cu2ClO3
_chemical_formula_sum 'Cu48 Cl24 O72'
_cell_length_a 12.6570
_cell_length_b 12.6570
_cell_length_c 13.3731
_cell_angle_alpha 90.00
_cell_angle_beta 90.00
_cell_angle_gamma 120.00
_symmetry_space_group_name_H-M 'R -3'
_symmetry_Int_Tables_number 148
_symmetry_space_group_name_Hall '-R 3'
loop_
_atom_site_label
_atom_site_type_symbol
_atom_site_fract_x
_atom_site_fract_y
_atom_site_fract_z
Cu1 Cu 0.0000 0.0000 0.0000
Cu2 Cu 0.0000 0.5000 0.0000
Cu3 Cu 0.0017 0.2503 0.4986
Cu4 Cu 0.0797 0.1664 0.1676
Cl1 Cl 0.0000 0.0000 0.3093
Cl2 Cl 0.0030 0.5025 0.6904
O1 O 0.0305 0.2684 0.2296
O2 O 0.0395 0.7715 0.2359
O3 O 0.0631 0.1314 0.8996
O4 O 0.0977 0.8973 0.4342
```

Computed properties:
Formation energy from the elements   -0.557 eV per atom
Energy relative to the lowest polymorph listed for this composition   19.8 meV per atom

3.
Material: Cu2ClO3
Method: DFT, PBE
State: optimized geometry

CIF file:
```
data_Cu2ClO3
_chemical_formula_sum 'Cu8 Cl4 O12'
_cell_length_a 5.8452
_cell_length_b 6.3156
_cell_length_c 9.6266
_cell_angle_alpha 90.00
_cell_angle_beta 118.96
_cell_angle_gamma 90.00
_symmetry_space_group_name_H-M 'P 1 21/c 1'
_symmetry_Int_Tables_number 14
loop_
_symmetry_equiv_pos_as_xyz
'x,y,z'
'-x,-y,-z'
'-x,y+1/2,-z+1/2'
'x,-y+1/2,z+1/2'
loop_
_atom_site_label
_atom_site_type_symbol
_atom_site_fract_x
_atom_site_fract_y
_atom_site_fract_z
Cu1 Cu 0.0000 0.0000 0.0000
Cu2 Cu 0.0084 0.2421 0.2512
Cu3 Cu 0.5000 0.0000 0.0000
Cl1 Cl 0.3062 0.5020 0.1902
O1 O 0.1581 0.5131 0.7272
O2 O 0.2253 0.6889 0.4674
O3 O 0.2515 0.2120 0.9647
```

Computed properties:
Formation energy from the elements   -0.558 eV per atom
Energy relative to the lowest polymorph listed for this composition   19.0 meV per atom

4.
Material: CuPb2Cl3O2
Method: DFT, PBE
State: optimized geometry

CIF file:
```
data_CuPb2Cl3O2
_chemical_formula_sum 'Cu16 Pb32 Cl48 O32'
_cell_length_a 13.8556
_cell_length_b 13.8556
_cell_length_c 14.4134
_cell_angle_alpha 90.00
_cell_angle_beta 90.00
_cell_angle_gamma 90.00
_symmetry_space_group_name_H-M 'I 41/a c d'
_symmetry_Int_Tables_number 142
loop_
_symmetry_equiv_pos_as_xyz
'x,y,z'
'-x,-y,-z'
'-y+1/4,x+3/4,z+1/4'
'y+1/4,-x+3/4,-z+1/4'
'-x+1/2,-y,z+1/2'
'x+1/2,y,-z+1/2'
'y+1/4,-x+1/4,z+3/4'
'-y+1/4,x+1/4,-z+3/4'
'x,-y,-z+1/2'
'-x,y,z+1/2'
'-y+1/4,-x+1/4,-z+1/4'
'y+1/4,x+1/4,z+1/4'
'-x+1/2,y,-z'
'x+1/2,-y,z'
'y+1/4,x+3/4,-z+3/4'
'-y+1/4,-x+3/4,z+3/4'
'x+1/2,y+1/2,z+1/2'
'-x+1/2,-y+1/2,-z+1/2'
'-y+3/4,x+1/4,z+3/4'
'y+3/4,-x+1/4,-z+3/4'
'-x,-y+1/2,z'
'x,y+1/2,-z'
'y+3/4,-x+3/4,z+1/4'
'-y+3/4,x+3/4,-z+1/4'
'x+1/2,-y+1/2,-z'
'-x+1/2,y+1/2,z'
'-y+3/4,-x+3/4,-z+3/4'
'y+3/4,x+3/4,z+3/4'
'-x,y+1/2,-z+1/2'
'x,-y+1/2,z+1/2'
'y+3/4,x+1/4,-z+1/4'
'-y+3/4,-x+1/4,z+1/4'
loop_
_atom_site_label
_atom_site_type_symbol
_atom_site_fract_x
_atom_site_fract_y
_atom_site_fract_z
Cu1 Cu 0.1580 0.0920 0.1250
Pb1 Pb 0.0904 0.1588 0.7923
Cl1 Cl 0.0002 0.0450 0.1243
Cl2 Cl 0.2318 0.0000 0.2500
O1 O 0.0733 0.1771 0.3014
```

Computed properties:
Formation energy from the elements   -0.846 eV per atom

5.
Material: Sr2Cu2RuPb2ClO8
Method: DFT, PBE
State: optimized geometry

CIF file:
```
data_Sr2Cu2RuPb2ClO8
_chemical_formula_sum 'Sr4 Cu4 Ru2 Pb4 Cl2 O16'
_cell_length_a 15.3424
_cell_length_b 5.5635
_cell_length_c 5.5445
_cell_angle_alpha 90.00
_cell_angle_beta 90.00
_cell_angle_gamma 90.00
_symmetry_space_group_name_H-M 'A m m 2'
_symmetry_Int_Tables_number 38
loop_
_symmetry_equiv_pos_as_xyz
'x,y,z'
'-x,-y,z'
'-x,y,z'
'x,-y,z'
'x,y+1/2,z+1/2'
'-x,-y+1/2,z+1/2'
'-x,y+1/2,z+1/2'
'x,-y+1/2,z+1/2'
loop_
_atom_site_label
_atom_site_type_symbol
_atom_site_fract_x
_atom_site_fract_y
_atom_site_fract_z
Sr1 Sr 0.1424 0.0000 0.0000
Cu1 Cu 0.2677 0.0000 0.5031
Ru1 Ru 0.0000 0.0000 0.4805
Pb1 Pb 0.3774 0.0000 0.0041
Cl1 Cl 0.5000 0.0000 0.5038
O1 O 0.0000 0.2350 0.2197
O2 O 0.1268 0.0000 0.5147
O3 O 0.2802 0.2502 0.2534
```

Computed properties:
Formation energy from the elements   -1.745 eV per atom

6.
Material: Cu6PbSe2Cl5O8
Method: DFT, PBE
State: optimized geometry

CIF file:
```
data_Cu6PbSe2Cl5O8
_chemical_formula_sum 'Cu24 Pb4 Se8 Cl20 O32'
_cell_length_a 18.6987
_cell_length_b 6.2691
_cell_length_c 15.4912
_cell_angle_alpha 90.00
_cell_angle_beta 118.72
_cell_angle_gamma 90.00
_symmetry_space_group_name_H-M 'C 1 2/m 1'
_symmetry_Int_Tables_number 12
loop_
_symmetry_equiv_pos_as_xyz
'x,y,z'
'-x,-y,-z'
'-x,y,-z'
'x,-y,z'
'x+1/2,y+1/2,z'
'-x+1/2,-y+1/2,-z'
'-x+1/2,y+1/2,-z'
'x+1/2,-y+1/2,z'
loop_
_atom_site_label
_atom_site_type_symbol
_atom_site_fract_x
_atom_site_fract_y
_atom_site_fract_z
Cu1 Cu 0.0000 0.0000 0.0000
Cu2 Cu 0.0000 0.5000 0.5000
Cu3 Cu 0.0144 0.2466 0.2568
Cu4 Cu 0.0604 0.5000 0.9527
Cu5 Cu 0.0692 0.0000 0.4654
Cu6 Cu 0.1519 0.5000 0.8341
Pb1 Pb 0.2061 0.0000 0.3606
Se1 Se 0.1266 0.0000 0.7090
Se2 Se 0.1423 0.5000 0.1997
Cl1 Cl 0.0631 0.0000 0.9198
Cl2 Cl 0.0863 0.5000 0.4491
Cl3 Cl 0.1952 0.5000 0.0052
Cl4 Cl 0.2100 0.0000 0.5594
Cl5 Cl 0.2380 0.0000 0.1875
O1 O 0.0400 0.5000 0.8192
O2 O 0.0523 0.0000 0.5827
O3 O 0.0584 0.5000 0.0798
O4 O 0.0671 0.0000 0.3395
O5 O 0.0930 0.2182 0.7476
O6 O 0.1172 0.2854 0.2505
```

Computed properties:
Formation energy from the elements   -0.941 eV per atom

7.
Material: Rb3Cu3Cl8O
Method: DFT, PBE
State: optimized geometry

CIF file:
```
data_Rb3Cu3Cl8O
_chemical_formula_sum 'Rb12 Cu12 Cl32 O4'
_cell_length_a 13.5514
_cell_length_b 9.6070
_cell_length_c 13.3943
_cell_angle_alpha 90.00
_cell_angle_beta 113.14
_cell_angle_gamma 90.00
_symmetry_space_group_name_H-M 'P 1 21/c 1'
_symmetry_Int_Tables_number 14
loop_
_symmetry_equiv_pos_as_xyz
'x,y,z'
'-x,-y,-z'
'-x,y+1/2,-z+1/2'
'x,-y+1/2,z+1/2'
loop_
_atom_site_label
_atom_site_type_symbol
_atom_site_fract_x
_atom_site_fract_y
_atom_site_fract_z
Rb1 Rb 0.0650 0.1240 0.2021
Rb2 Rb 0.1883 0.6045 0.0762
Rb3 Rb 0.4304 0.6042 0.8112
Cu1 Cu 0.2278 0.1577 0.9962
Cu2 Cu 0.2659 0.6091 0.4087
Cu3 Cu 0.3627 0.1572 0.8622
Cl1 Cl 0.0875 0.2058 0.4837
Cl2 Cl 0.1388 0.0351 0.7762
Cl3 Cl 0.1673 0.5428 0.5512
Cl4 Cl 0.1770 0.7007 0.8227
Cl5 Cl 0.3161 0.1567 0.4364
Cl6 Cl 0.3582 0.2218 0.2176
Cl7 Cl 0.3970 0.7404 0.5345
Cl8 Cl 0.4105 0.5378 0.2996
O1 O 0.3382 0.0565 0.9721
```

Computed properties:
Formation energy from the elements   -1.107 eV per atom

8.
Material: Rb11Cu18Cl30O2
Method: DFT, PBE
State: optimized geometry

CIF file:
```
data_Rb11Cu18Cl30O2
_chemical_formula_sum 'Rb22 Cu36 Cl60 O4'
_cell_length_a 25.1583
_cell_length_b 11.3438
_cell_length_c 12.8038
_cell_angle_alpha 90.00
_cell_angle_beta 118.33
_cell_angle_gamma 90.00
_symmetry_space_group_name_H-M 'C 1 2/m 1'
_symmetry_Int_Tables_number 12
loop_
_symmetry_equiv_pos_as_xyz
'x,y,z'
'-x,-y,-z'
'-x,y,-z'
'x,-y,z'
'x+1/2,y+1/2,z'
'-x+1/2,-y+1/2,-z'
'-x+1/2,y+1/2,-z'
'x+1/2,-y+1/2,z'
loop_
_atom_site_label
_atom_site_type_symbol
_atom_site_fract_x
_atom_site_fract_y
_atom_site_fract_z
Rb1 Rb 0.0000 0.0000 0.0000
Rb2 Rb 0.0637 0.3080 0.8033
Rb3 Rb 0.1390 0.3040 0.5239
Rb4 Rb 0.2500 0.0000 0.0706
Cu1 Cu 0.0000 0.0000 0.5000
Cu2 Cu 0.0000 0.5000 0.5000
Cu3 Cu 0.0234 0.5000 0.1114
Cu4 Cu 0.0497 0.0000 0.3523
Cu5 Cu 0.1516 0.1458 0.2473
Cu6 Cu 0.1775 0.0000 0.7457
Cu7 Cu 0.1914 0.3358 0.1478
Cu8 Cu 0.2399 0.0000 0.5550
Cl1 Cl 0.0000 0.3057 0.5000
Cl2 Cl 0.0476 0.5000 0.3052
Cl3 Cl 0.0522 0.0000 0.6903
Cl4 Cl 0.0635 0.1650 0.2571
Cl5 Cl 0.1233 0.5000 0.6908
Cl6 Cl 0.1386 0.1630 0.0580
Cl7 Cl 0.1420 0.0000 0.5377
Cl8 Cl 0.1510 0.5000 0.0311
Cl9 Cl 0.2052 0.1805 0.8246
Cl10 Cl 0.2079 0.3330 0.3445
Cl11 Cl 0.2221 0.0000 0.3578
O1 O 0.0000 0.3833 0.0000
```

Computed properties:
Formation energy from the elements   -0.998 eV per atom

9.
Material: Cu5Se2Cl2O8
Method: DFT, PBE
State: optimized geometry

CIF file:
```
data_Cu5Se2Cl2O8
_chemical_formula_sum 'Cu10 Se4 Cl4 O16'
_cell_length_a 5.4914
_cell_length_b 8.2547
_cell_length_c 11.2373
_cell_angle_alpha 90.00
_cell_angle_beta 99.06
_cell_angle_gamma 90.00
_symmetry_space_group_name_H-M 'P 1 21/c 1'
_symmetry_Int_Tables_number 14
loop_
_symmetry_equiv_pos_as_xyz
'x,y,z'
'-x,-y,-z'
'-x,y+1/2,-z+1/2'
'x,-y+1/2,z+1/2'
loop_
_atom_site_label
_atom_site_type_symbol
_atom_site_fract_x
_atom_site_fract_y
_atom_site_fract_z
Cu1 Cu 0.0000 0.0000 0.0000
Cu2 Cu 0.4803 0.0758 0.8801
Cu3 Cu 0.4820 0.2144 0.6159
Se1 Se 0.1353 0.0911 0.2850
Cl1 Cl 0.2809 0.6517 0.0222
O1 O 0.0777 0.5678 0.3429
O2 O 0.2913 0.2317 0.7517
O3 O 0.3297 0.1005 0.0268
O4 O 0.3526 0.5591 0.7611
```

Computed properties:
Formation energy from the elements   -0.963 eV per atom
Energy relative to the lowest polymorph listed for this composition   0.0 meV per atom